one:
Compound: TaCr3Cu2S8
Source: Materials Project
Functional: PBE-GGA
Structure: optimized geometry

Unit cell a=5.7458 b=12.1950 c=8.9297 alpha=90.00 beta=129.12 gamma=90.00
Space group P2_1/c (No. 14)
Symmetry-distinct sites (fractional):
Ta 0.0000 0.0000 0.0000 (multiplicity 2)
Cr 0.2289 0.2481 0.7375 (multiplicity 4)
Cr 0.5000 0.0000 0.5000 (multiplicity 2)
Cu 0.1478 0.5850 0.2565 (multiplicity 4)
S 0.0094 0.5864 0.7570 (multiplicity 4)
S 0.2523 0.6709 0.5160 (multiplicity 4)
S 0.2738 0.1698 0.5001 (multiplicity 4)
S 0.4756 0.0874 0.2517 (multiplicity 4)

Calculated density in g/cm³: 4.930
Magnetization in μB per atom: 0.64
Crystal system: monoclinic
Volume in Å³/atom: 17.34

two:
Compound: TaCr3Cu2S8
Source: Materials Project
Functional: PBE-GGA
Structure: optimized geometry

Unit cell a=3.4143 b=11.4525 c=11.9713 alpha=90.00 beta=90.00 gamma=90.00
Space group Pmn2_1 (No. 31)
Symmetry-distinct sites (fractional):
Ta 0.0000 0.1014 0.0000 (multiplicity 2)
Cr 0.0000 0.1417 0.3659 (multiplicity 2)
Cr 0.0000 0.6021 0.0884 (multiplicity 2)
Cr 0.0000 0.6350 0.7183 (multiplicity 2)
Cu 0.0000 0.3833 0.8605 (multiplicity 2)
Cu 0.0000 0.8662 0.2180 (multiplicity 2)
S 0.0000 0.0464 0.5471 (multiplicity 2)
S 0.0000 0.2189 0.1721 (multiplicity 2)
S 0.0000 0.2844 0.6830 (multiplicity 2)
S 0.0000 0.4973 0.2613 (multiplicity 2)
S 0.0000 0.5350 0.5400 (multiplicity 2)
S 0.0000 0.7188 0.9092 (multiplicity 2)
S 0.0000 0.7790 0.4088 (multiplicity 2)
S 0.0000 0.9973 0.8147 (multiplicity 2)

Calculated density in g/cm³: 5.112
Magnetization in μB per atom: 0.64
Crystal system: orthorhombic
Volume in Å³/atom: 16.72

three:
Compound: TaCr3Cu2S8
Source: Materials Project
Functional: PBE-GGA
Structure: optimized geometry

Unit cell a=3.4488 b=11.0635 c=12.5534 alpha=90.00 beta=90.00 gamma=90.00
Space group Pmn2_1 (No. 31)
Symmetry-distinct sites (fractional):
Ta 0.0000 0.2133 0.0000 (multiplicity 2)
Cr 0.0000 0.1561 0.5304 (multiplicity 2)
Cr 0.0000 0.6502 0.2043 (multiplicity 2)
Cr 0.0000 0.7063 0.7448 (multiplicity 2)
Cu 0.0000 0.5433 0.9169 (multiplicity 2)
Cu 0.0000 0.9932 0.7433 (multiplicity 2)
S 0.0000 0.1517 0.1907 (multiplicity 2)
S 0.0000 0.3145 0.8333 (multiplicity 2)
S 0.0000 0.3655 0.5713 (multiplicity 2)
S 0.0000 0.4405 0.2865 (multiplicity 2)
S 0.0000 0.6440 0.5630 (multiplicity 2)
S 0.0000 0.8239 0.9049 (multiplicity 2)
S 0.0000 0.8637 0.1697 (multiplicity 2)
S 0.0000 0.9387 0.4652 (multiplicity 2)

Calculated density in g/cm³: 4.996
Magnetization in μB per atom: 0.64
Crystal system: orthorhombic
Volume in Å³/atom: 17.11

four:
Compound: TaCr3Cu2S8
Source: Materials Project
Functional: PBE-GGA
Structure: optimized geometry

Unit cell a=11.4327 b=3.4243 c=12.0081 alpha=90.00 beta=90.54 gamma=90.00
Space group P2_1/m (No. 11)
Symmetry-distinct sites (fractional):
Ta 0.1446 0.2500 0.2908 (multiplicity 2)
Cr 0.1193 0.2500 0.9249 (multiplicity 2)
Cr 0.3540 0.7500 0.7934 (multiplicity 2)
Cr 0.3906 0.7500 0.4311 (multiplicity 2)
Cu 0.1403 0.7500 0.5921 (multiplicity 2)
Cu 0.3920 0.2500 0.0524 (multiplicity 2)
S 0.0277 0.2500 0.1197 (multiplicity 2)
S 0.0316 0.7500 0.3889 (multiplicity 2)
S 0.2135 0.2500 0.7488 (multiplicity 2)
S 0.2528 0.2500 0.4788 (multiplicity 2)
S 0.2534 0.7500 0.9692 (multiplicity 2)
S 0.2892 0.7500 0.2466 (multiplicity 2)
S 0.4726 0.7500 0.6164 (multiplicity 2)
S 0.4741 0.2500 0.8752 (multiplicity 2)

Calculated density in g/cm³: 5.091
Magnetization in μB per atom: 0.64
Crystal system: monoclinic
Volume in Å³/atom: 16.79

Energy above the most stable structure, in meV/atom: one 0; two 122; three 109; four 115

one:
Compound: TaCr3Cu2S8
Source: Materials Project
Functional: PBE-GGA
Structure: optimized geometry

Unit cell a=3.4001 b=12.5977 c=11.0811 alpha=90.00 beta=90.00 gamma=90.00
Space group Pmc2_1 (No. 26)
Symmetry-distinct sites (fractional):
Ta 0.0000 0.1646 0.0000 (multiplicity 2)
Cr 0.0000 0.3743 0.5288 (multiplicity 2)
Cr 0.5000 0.1428 0.6451 (multiplicity 2)
Cr 0.5000 0.3338 0.1709 (multiplicity 2)
Cu 0.0000 0.4454 0.8003 (multiplicity 2)
Cu 0.5000 0.1084 0.3769 (multiplicity 2)
S 0.0000 0.0956 0.7824 (multiplicity 2)
S 0.0000 0.1895 0.4980 (multiplicity 2)
S 0.0000 0.1994 0.2140 (multiplicity 2)
S 0.0000 0.4549 0.1298 (multiplicity 2)
S 0.5000 0.0278 0.0296 (multiplicity 2)
S 0.5000 0.3005 0.9567 (multiplicity 2)
S 0.5000 0.3280 0.6773 (multiplicity 2)
S 0.5000 0.4146 0.3814 (multiplicity 2)

Calculated density in g/cm³: 5.042
Magnetization in μB per atom: 0.62
Crystal system: orthorhombic
Volume in Å³/atom: 16.95

two:
Compound: TaCr3Cu2S8
Source: Materials Project
Functional: PBE-GGA
Structure: optimized geometry

Unit cell a=6.3521 b=7.2650 c=12.2395 alpha=98.45 beta=94.47 gamma=90.30
Space group P1 (No. 1)
Symmetry-distinct sites (fractional):
Ta 0.0000 0.0000 0.0000 (multiplicity 1)
Ta 0.2263 0.8516 0.4019 (multiplicity 1)
Cr 0.1034 0.1810 0.7008 (multiplicity 1)
Cr 0.2468 0.3532 0.4098 (multiplicity 1)
Cr 0.4938 0.2509 0.9903 (multiplicity 1)
Cr 0.4944 0.7360 0.9876 (multiplicity 1)
Cr 0.6151 0.4172 0.7005 (multiplicity 1)
Cr 0.7030 0.5950 0.4128 (multiplicity 1)
Cu 0.1110 0.6590 0.7032 (multiplicity 1)
Cu 0.6086 0.9182 0.6964 (multiplicity 1)
Cu 0.7244 0.1000 0.4153 (multiplicity 1)
Cu 0.9750 0.4907 0.9879 (multiplicity 1)
S 0.0339 0.5777 0.3388 (multiplicity 1)
S 0.0455 0.0893 0.3336 (multiplicity 1)
S 0.1719 0.7533 0.0645 (multiplicity 1)
S 0.1737 0.2752 0.0698 (multiplicity 1)
S 0.2472 0.8960 0.5910 (multiplicity 1)
S 0.2666 0.3895 0.5961 (multiplicity 1)
S 0.4500 0.2014 0.8028 (multiplicity 1)
S 0.4631 0.6951 0.8012 (multiplicity 1)
S 0.5543 0.3274 0.3367 (multiplicity 1)
S 0.5541 0.8326 0.3309 (multiplicity 1)
S 0.6638 0.5139 0.0639 (multiplicity 1)
S 0.6657 0.0125 0.0685 (multiplicity 1)
S 0.7619 0.6397 0.5960 (multiplicity 1)
S 0.7636 0.1461 0.6027 (multiplicity 1)
S 0.9534 0.4414 0.8005 (multiplicity 1)
S 0.9726 0.9513 0.8117 (multiplicity 1)

Calculated density in g/cm³: 4.297
Magnetization in μB per atom: 0.64
Crystal system: triclinic
Volume in Å³/atom: 19.89

three:
Compound: TaCr3Cu2S8
Source: Materials Project
Functional: PBE-GGA
Structure: optimized geometry

Unit cell a=7.1118 b=9.9734 c=6.9604 alpha=90.00 beta=90.00 gamma=90.00
Space group P222_1 (No. 17)
Symmetry-distinct sites (fractional):
Ta 0.0141 0.0000 0.0000 (multiplicity 2)
Cr 0.2504 0.2495 0.2469 (multiplicity 4)
Cr 0.4978 0.5000 0.5000 (multiplicity 2)
Cu 0.0000 0.3886 0.7500 (multiplicity 2)
Cu 0.5000 0.1385 0.7500 (multiplicity 2)
S 0.0032 0.2459 0.4893 (multiplicity 4)
S 0.2478 0.0037 0.2538 (multiplicity 4)
S 0.2680 0.4878 0.2482 (multiplicity 4)
S 0.4974 0.2607 0.4793 (multiplicity 4)

Calculated density in g/cm³: 4.847
Magnetization in μB per atom: 0.62
Crystal system: orthorhombic
Volume in Å³/atom: 17.63

four:
Compound: TaCr3Cu2S8
Source: Materials Project
Functional: PBE-GGA
Structure: optimized geometry

Unit cell a=6.9848 b=7.1451 c=9.9567 alpha=90.00 beta=90.00 gamma=90.00
Space group P222_1 (No. 17)
Symmetry-distinct sites (fractional):
Ta 0.0000 0.2343 0.2500 (multiplicity 2)
Cr 0.2450 0.0000 0.0000 (multiplicity 2)
Cr 0.2455 0.5000 0.0000 (multiplicity 2)
Cr 0.5000 0.2482 0.2500 (multiplicity 2)
Cu 0.2657 0.2596 0.6238 (multiplicity 4)
S 0.0071 0.2500 0.0035 (multiplicity 4)
S 0.2506 0.4826 0.2427 (multiplicity 4)
S 0.2579 0.0031 0.2433 (multiplicity 4)
S 0.4734 0.2492 0.0097 (multiplicity 4)

Calculated density in g/cm³: 4.816
Magnetization in μB per atom: 0.64
Crystal system: orthorhombic
Volume in Å³/atom: 17.75

Energy above the most stable structure, in meV/atom: one 203; two 231; three 6; four 0